No. 1
First-principles (PBE with a Hubbard U) data for an optimized crystal structure of RbVOF3, as listed in the Materials Project.

* magnetic moment: 1.0 μB/f.u.
* calculated formation energy: -2.973 eV/atom
* volume: 17.29 Å³/atom

Cell: 6.916 15.179 3.952 Å, 90.00 90.00 90.00°
Positions (direct):
1 Rb 0.190 0.166 0.000
2 Rb 0.310 0.666 0.000
3 Rb 0.690 0.334 0.000
4 Rb 0.810 0.834 0.000
5 V 0.158 0.414 0.500
6 V 0.342 0.914 0.500
7 V 0.658 0.086 0.500
8 V 0.842 0.586 0.500
9 O 0.109 0.894 0.500
10 O 0.391 0.394 0.500
11 O 0.609 0.606 0.500
12 O 0.891 0.106 0.500
13 F 0.042 0.299 0.500
14 F 0.114 0.415 0.000
15 F 0.151 0.545 0.500
16 F 0.349 0.045 0.500
17 F 0.386 0.915 0.000
18 F 0.458 0.799 0.500
19 F 0.542 0.201 0.500
20 F 0.614 0.085 0.000
21 F 0.651 0.955 0.500
22 F 0.849 0.455 0.500
23 F 0.886 0.585 0.000
24 F 0.958 0.701 0.500

=====

No. 2
First-principles (PBE with a Hubbard U) data for an optimized crystal structure of Li3Mn2P2C2O14, as listed in the Materials Project.

* magnetic moment: 7.0 μB/f.u.
* calculated formation energy: -2.256 eV/atom
* distance to the lowest polymorph of the same formula: 0.011 eV/atom
* volume: 11.83 Å³/atom

Cell: 6.481 8.318 10.121 Å, 94.39 90.29 90.27°
Positions (direct):
1 Li 0.000 0.000 0.000
2 Li 0.036 0.022 0.504
3 Li 0.458 0.004 0.994
4 Li 0.512 0.473 0.759
5 Li 0.728 0.647 0.507
6 Li 0.947 0.481 0.241
7 Mn 0.230 0.414 0.022
8 Mn 0.231 0.416 0.521
9 Mn 0.725 0.076 0.228
10 Mn 0.732 0.074 0.722
11 P 0.221 0.167 0.257
12 P 0.238 0.164 0.761
13 P 0.726 0.323 0.986
14 P 0.737 0.324 0.484
15 C 0.222 0.698 0.478
16 C 0.232 0.697 0.982
17 C 0.728 0.787 0.769
18 C 0.741 0.796 0.273
19 O 0.039 0.058 0.206
20 O 0.047 0.068 0.710
21 O 0.203 0.841 0.454
22 O 0.208 0.333 0.198
23 O 0.209 0.202 0.411
24 O 0.217 0.576 0.386
25 O 0.218 0.644 0.100
26 O 0.223 0.199 0.917
27 O 0.231 0.844 0.960
28 O 0.246 0.645 0.597
29 O 0.247 0.579 0.889
30 O 0.260 0.327 0.699
31 O 0.414 0.072 0.209
32 O 0.424 0.054 0.730
33 O 0.537 0.423 0.029
34 O 0.549 0.430 0.527
35 O 0.706 0.648 0.800
36 O 0.721 0.286 0.833
37 O 0.724 0.844 0.153
38 O 0.726 0.154 0.046
39 O 0.738 0.831 0.647
40 O 0.740 0.915 0.858
41 O 0.742 0.283 0.332
42 O 0.742 0.920 0.364
43 O 0.748 0.164 0.551
44 O 0.757 0.655 0.305
45 O 0.915 0.424 0.035
46 O 0.917 0.441 0.523

=====

No. 3
First-principles (PBE with a Hubbard U) data for an optimized crystal structure of Mn2OF3, as listed in the Materials Project.

* magnetic moment: 9.0 μB/f.u.
* calculated formation energy: -2.606 eV/atom
* distance to the lowest polymorph of the same formula: 0.033 eV/atom
* volume: 12.53 Å³/atom

Cell: 4.855 5.821 13.638 Å, 77.98 87.07 86.84°
Positions (direct):
1 Mn 0.000 0.000 0.000
2 Mn 0.000 0.398 0.800
3 Mn 0.007 0.596 0.197
4 Mn 0.008 0.796 0.598
5 Mn 0.494 0.301 0.602
6 Mn 0.496 0.099 0.202
7 Mn 0.500 0.500 0.000
8 Mn 0.503 0.898 0.799
9 Mn 0.532 0.683 0.392
10 Mn 0.982 0.208 0.405
11 O 0.303 0.417 0.137
12 O 0.307 0.209 0.739
13 O 0.691 0.381 0.465
14 O 0.694 0.586 0.862
15 O 0.706 0.778 0.258
16 F 0.189 0.513 0.338
17 F 0.199 0.319 0.938
18 F 0.200 0.913 0.140
19 F 0.201 0.712 0.739
20 F 0.203 0.121 0.539
21 F 0.299 0.007 0.347
22 F 0.309 0.818 0.939
23 F 0.316 0.627 0.530
24 F 0.692 0.182 0.060
25 F 0.698 0.978 0.660
26 F 0.803 0.082 0.860
27 F 0.803 0.888 0.461
28 F 0.804 0.478 0.660
29 F 0.805 0.678 0.061
30 F 0.808 0.280 0.260